Entry 1:
RbOsNO3: relaxed, PBE.

Unit cell a=5.840 b=5.969 c=14.222 alpha=90.00 beta=90.00 gamma=90.00
Atoms (fractional coordinates):
Rb1 0.028 0.249 0.125
Rb2 0.472 0.751 0.625
Rb3 0.528 0.251 0.875
Rb4 0.972 0.749 0.375
Os1 0.036 0.751 0.871
Os2 0.464 0.249 0.371
Os3 0.536 0.749 0.129
Os4 0.964 0.251 0.629
N1 0.013 0.019 0.563
N2 0.487 0.981 0.063
N3 0.513 0.481 0.437
N4 0.987 0.519 0.937
O1 0.016 0.488 0.559
O2 0.155 0.246 0.725
O3 0.175 0.255 0.333
O4 0.325 0.745 0.833
O5 0.345 0.754 0.225
O6 0.484 0.512 0.059
O7 0.516 0.012 0.441
O8 0.655 0.254 0.275
O9 0.675 0.245 0.667
O10 0.825 0.755 0.167
O11 0.845 0.746 0.775
O12 0.984 0.988 0.941

Size of the total moment = 0.00 μB/f.u.
DFT formation energy = -1.295 eV per atom
Density = 4.52 g cm⁻³
Uncorrected energy = -41.1 eV/f.u.



Entry 2:
Na14Sc4Ti4Si9S3O48: relaxed, PBE.

Unit cell a=9.075 b=15.731 c=22.292 alpha=89.76 beta=89.98 gamma=89.95
Atoms (fractional coordinates):
Na1 0.000 0.000 0.000
Na2 0.000 0.657 0.658
Na3 0.002 0.961 0.329
Na4 0.032 0.647 0.334
Na5 0.049 0.309 0.996
Na6 0.058 0.978 0.660
Na7 0.173 0.136 0.576
Na8 0.174 0.473 0.414
Na9 0.176 0.815 0.252
Na10 0.181 0.813 0.746
Na11 0.183 0.470 0.916
Na12 0.184 0.140 0.080
Na13 0.306 0.984 0.165
Na14 0.320 0.308 0.492
Na15 0.321 0.644 0.830
Na16 0.358 0.962 0.828
Na17 0.360 0.658 0.162
Na18 0.360 0.993 0.498
Na19 0.369 0.629 0.499
Na20 0.375 0.289 0.167
Na21 0.485 0.791 0.663
Na22 0.492 0.130 0.002
Na23 0.500 0.487 0.002
Na24 0.501 0.157 0.659
Na25 0.504 0.459 0.330
Na26 0.542 0.810 0.998
Na27 0.543 0.144 0.330
Na28 0.554 0.481 0.660
Na29 0.676 0.640 0.576
Na30 0.679 0.973 0.413
Na31 0.684 0.309 0.250
Na32 0.685 0.313 0.751
Na33 0.687 0.975 0.914
Na34 0.690 0.636 0.082
Na35 0.801 0.478 0.163
Na36 0.811 0.810 0.494
Na37 0.827 0.147 0.834
Na38 0.857 0.457 0.830
Na39 0.859 0.499 0.497
Na40 0.862 0.157 0.166
Na41 0.871 0.793 0.172
Na42 0.986 0.291 0.669
Sc1 0.166 0.136 0.731
Sc2 0.169 0.147 0.933
Sc3 0.178 0.811 0.100
Sc4 0.181 0.139 0.233
Sc5 0.183 0.486 0.560
Sc6 0.188 0.811 0.597
Sc7 0.669 0.639 0.731
Sc8 0.672 0.311 0.099
Sc9 0.678 0.986 0.062
Sc10 0.682 0.310 0.598
Sc11 0.692 0.646 0.432
Sc12 0.694 0.638 0.231
Ti1 0.174 0.820 0.402
Ti2 0.175 0.476 0.767
Ti3 0.180 0.475 0.268
Ti4 0.184 0.488 0.056
Ti5 0.185 0.137 0.427
Ti6 0.198 0.814 0.895
Ti7 0.659 0.639 0.932
Ti8 0.666 0.308 0.391
Ti9 0.676 0.989 0.554
Ti10 0.681 0.977 0.767
Ti11 0.685 0.319 0.902
Ti12 0.695 0.985 0.273
Si1 0.027 0.990 0.832
Si2 0.031 0.294 0.830
Si3 0.031 0.962 0.500
Si4 0.036 0.666 0.497
Si5 0.038 0.620 0.164
Si6 0.318 0.291 0.332
Si7 0.323 0.667 0.997
Si8 0.324 0.624 0.666
Si9 0.330 0.957 0.999
Si10 0.332 0.991 0.330
Si11 0.386 0.311 0.999
Si12 0.394 0.978 0.664
Si13 0.467 0.478 0.164
Si14 0.474 0.811 0.499
Si15 0.527 0.491 0.831
Si16 0.529 0.168 0.498
Si17 0.533 0.124 0.167
Si18 0.533 0.455 0.497
Si19 0.540 0.792 0.832
Si20 0.822 0.120 0.664
Si21 0.824 0.166 0.997
Si22 0.830 0.462 0.999
Si23 0.830 0.794 0.330
Si24 0.833 0.491 0.332
Si25 0.888 0.478 0.664
Si26 0.891 0.150 0.331
Si27 0.973 0.978 0.164
S1 0.039 0.336 0.164
S2 0.324 0.332 0.666
S3 0.384 0.644 0.330
S4 0.477 0.145 0.830
S5 0.536 0.832 0.166
S6 0.822 0.834 0.665
S7 0.889 0.806 0.996
S8 0.971 0.646 0.831
S9 0.972 0.307 0.497
O1 0.002 0.130 0.666
O2 0.003 0.155 0.994
O3 0.003 0.466 0.723
O4 0.009 0.129 0.385
O5 0.010 0.463 0.004
O6 0.012 0.802 0.337
O7 0.013 0.487 0.321
O8 0.049 0.053 0.889
O9 0.057 0.234 0.771
O10 0.060 0.898 0.442
O11 0.062 0.722 0.558
O12 0.065 0.566 0.828
O13 0.067 0.385 0.501
O14 0.070 0.389 0.217
O15 0.071 0.232 0.492
O16 0.072 0.719 0.838
O17 0.073 0.064 0.167
O18 0.074 0.557 0.106
O19 0.075 0.891 0.164
O20 0.099 0.392 0.822
O21 0.101 0.375 0.109
O22 0.104 0.253 0.890
O23 0.105 0.895 0.842
O24 0.106 0.250 0.169
O25 0.109 0.571 0.223
O26 0.111 0.922 0.559
O27 0.112 0.054 0.489
O28 0.112 0.716 0.439
O29 0.113 0.029 0.773
O30 0.113 0.571 0.497
O31 0.116 0.713 0.161
O32 0.240 0.716 0.667
O33 0.248 0.031 0.272
O34 0.250 0.899 0.341
O35 0.251 0.243 0.391
O36 0.251 0.914 0.057
O37 0.253 0.713 0.938
O38 0.254 0.569 0.724
O39 0.256 0.390 0.326
O40 0.258 0.570 0.001
O41 0.260 0.246 0.673
O42 0.260 0.369 0.610
O43 0.261 0.051 0.990
O44 0.283 0.397 0.003
O45 0.284 0.718 0.334
O46 0.286 0.227 0.991
O47 0.287 0.895 0.665
O48 0.288 0.893 0.940
O49 0.289 0.565 0.326
O50 0.292 0.388 0.718
O51 0.297 0.067 0.668
O52 0.300 0.057 0.388
O53 0.304 0.565 0.607
O54 0.305 0.233 0.272
O55 0.309 0.724 0.057
O56 0.347 0.491 0.826
O57 0.349 0.155 0.491
O58 0.352 0.456 0.499
O59 0.353 0.829 0.444
O60 0.354 0.137 0.169
O61 0.355 0.800 0.840
O62 0.356 0.466 0.223
O63 0.356 0.488 0.105
O64 0.371 0.824 0.161
O65 0.380 0.793 0.560
O66 0.385 0.130 0.883
O67 0.385 0.154 0.775
O68 0.475 0.654 0.275
O69 0.476 0.630 0.383
O70 0.482 0.294 0.059
O71 0.487 0.326 0.663
O72 0.501 0.302 0.339
O73 0.504 0.636 0.670
O74 0.504 0.966 0.724
O75 0.504 0.989 0.606
O76 0.506 0.330 0.944
O77 0.507 0.655 0.989
O78 0.510 0.956 0.998
O79 0.512 0.989 0.325
O80 0.553 0.223 0.558
O81 0.555 0.066 0.106
O82 0.557 0.733 0.773
O83 0.562 0.559 0.888
O84 0.563 0.567 0.167
O85 0.566 0.886 0.217
O86 0.572 0.065 0.826
O87 0.573 0.395 0.164
O88 0.575 0.392 0.440
O89 0.575 0.727 0.491
O90 0.576 0.219 0.834
O91 0.577 0.898 0.504
O92 0.598 0.867 0.108
O93 0.600 0.550 0.490
O94 0.600 0.745 0.171
O95 0.601 0.890 0.827
O96 0.602 0.071 0.502
O97 0.603 0.214 0.439
O98 0.607 0.071 0.224
O99 0.608 0.415 0.558
O100 0.609 0.400 0.840
O101 0.609 0.741 0.891
O102 0.611 0.533 0.773
O103 0.620 0.216 0.166
O104 0.744 0.213 0.662
O105 0.745 0.425 0.058
O106 0.747 0.071 0.997
O107 0.749 0.216 0.939
O108 0.749 0.531 0.272
O109 0.752 0.070 0.723
O110 0.752 0.556 0.984
O111 0.753 0.399 0.341
O112 0.758 0.752 0.390
O113 0.759 0.748 0.672
O114 0.759 0.871 0.610
O115 0.761 0.890 0.322
O116 0.774 0.227 0.341
O117 0.785 0.392 0.665
O118 0.787 0.057 0.607
O119 0.788 0.061 0.328
O120 0.790 0.888 0.719
O121 0.791 0.731 0.990
O122 0.792 0.565 0.670
O123 0.794 0.884 0.000
O124 0.799 0.224 0.057
O125 0.800 0.398 0.941
O126 0.806 0.732 0.271
O127 0.814 0.554 0.389
O128 0.847 0.986 0.821
O129 0.849 0.303 0.836
O130 0.850 0.963 0.505
O131 0.857 0.655 0.494
O132 0.858 0.629 0.166
O133 0.861 0.966 0.223
O134 0.872 0.632 0.883
O135 0.872 0.987 0.104
O136 0.874 0.321 0.446
O137 0.876 0.328 0.162
O138 0.887 0.657 0.775
O139 0.888 0.296 0.554
O140 0.974 0.795 0.053
O141 0.978 0.163 0.268
O142 0.986 0.827 0.663
O143 0.989 0.819 0.945
O144 0.990 0.489 0.605

Size of the total moment = 0.00 μB/f.u.
DFT formation energy = -2.909 eV per atom
Density = 2.83 g cm⁻³
Uncorrected energy = -579.8 eV/f.u.



Entry 3:
Na6MgSi2Sn3P4O24: relaxed, PBE.

Unit cell a=9.007 b=9.007 c=22.248 alpha=89.82 beta=89.78 gamma=60.05
Atoms (fractional coordinates):
Na1 0.000 0.000 0.000
Na2 0.001 0.998 0.498
Na3 0.033 0.312 0.920
Na4 0.037 0.661 0.415
Na5 0.298 0.660 0.925
Na6 0.313 0.322 0.330
Na7 0.342 0.322 0.840
Na8 0.361 0.640 0.242
Na9 0.364 0.000 0.753
Na10 0.630 0.007 0.244
Na11 0.633 0.385 0.746
Na12 0.646 0.304 0.421
Na13 0.655 0.673 0.663
Na14 0.657 0.673 0.165
Na15 0.682 0.339 0.084
Na16 0.966 0.338 0.576
Na17 0.974 0.696 0.079
Na18 0.982 0.635 0.751
Mg1 0.333 0.331 0.479
Mg2 0.333 0.335 0.980
Mg3 0.661 0.671 0.812
Si1 0.288 0.008 0.248
Si2 0.327 0.637 0.076
Si3 0.624 0.339 0.576
Si4 0.703 0.297 0.246
Si5 0.996 0.711 0.247
Si6 0.998 0.301 0.745
Sn1 0.003 0.004 0.146
Sn2 0.326 0.339 0.181
Sn3 0.330 0.338 0.676
Sn4 0.653 0.676 0.516
Sn5 0.655 0.680 0.013
Sn6 0.665 0.668 0.309
Sn7 0.989 0.007 0.641
Sn8 0.992 0.009 0.848
Sn9 0.999 0.007 0.347
P1 0.031 0.636 0.577
P2 0.034 0.339 0.075
P3 0.282 0.712 0.746
P4 0.330 0.043 0.580
P5 0.362 0.676 0.413
P6 0.364 0.968 0.908
P7 0.622 0.044 0.079
P8 0.663 0.375 0.911
P9 0.663 0.963 0.412
P10 0.700 0.007 0.746
P11 0.955 0.376 0.415
P12 0.955 0.675 0.910
O1 0.018 0.813 0.584
O2 0.036 0.790 0.307
O3 0.045 0.174 0.805
O4 0.107 0.524 0.636
O5 0.117 0.369 0.131
O6 0.131 0.359 0.420
O7 0.133 0.317 0.017
O8 0.134 0.514 0.914
O9 0.136 0.548 0.521
O10 0.150 0.825 0.083
O11 0.168 0.785 0.804
O12 0.169 0.525 0.240
O13 0.170 0.019 0.585
O14 0.172 0.050 0.308
O15 0.175 0.316 0.740
O16 0.179 0.839 0.411
O17 0.182 0.977 0.910
O18 0.194 0.831 0.692
O19 0.212 0.954 0.191
O20 0.295 0.167 0.530
O21 0.295 0.553 0.018
O22 0.299 0.532 0.740
O23 0.318 0.170 0.239
O24 0.333 0.149 0.916
O25 0.342 0.517 0.417
O26 0.354 0.113 0.642
O27 0.366 0.516 0.137
O28 0.448 0.705 0.468
O29 0.448 0.848 0.964
O30 0.460 0.694 0.751
O31 0.460 0.884 0.850
O32 0.472 0.650 0.355
O33 0.479 0.836 0.253
O34 0.493 0.864 0.576
O35 0.505 0.357 0.918
O36 0.506 0.648 0.074
O37 0.507 0.142 0.417
O38 0.514 0.313 0.241
O39 0.520 0.364 0.641
O40 0.523 0.174 0.740
O41 0.525 0.112 0.140
O42 0.530 0.158 0.026
O43 0.536 0.321 0.518
O44 0.643 0.481 0.854
O45 0.645 0.880 0.354
O46 0.656 0.507 0.578
O47 0.660 0.854 0.074
O48 0.671 0.492 0.251
O49 0.673 0.853 0.754
O50 0.697 0.458 0.968
O51 0.698 0.840 0.466
O52 0.779 0.048 0.801
O53 0.781 0.178 0.306
O54 0.804 0.030 0.082
O55 0.815 0.217 0.185
O56 0.820 0.963 0.691
O57 0.821 0.699 0.252
O58 0.822 0.171 0.580
O59 0.830 0.490 0.750
O60 0.832 0.975 0.411
O61 0.834 0.196 0.909
O62 0.842 0.457 0.473
O63 0.848 0.657 0.575
O64 0.850 0.699 0.970
O65 0.851 0.507 0.073
O66 0.863 0.661 0.855
O67 0.866 0.495 0.361
O68 0.953 0.834 0.187
O69 0.956 0.202 0.410
O70 0.962 0.212 0.687
O71 0.980 0.837 0.909
O72 0.999 0.187 0.082

Size of the total moment = 0.00 μB/f.u.
DFT formation energy = -2.609 eV per atom
Density = 3.45 g cm⁻³
Excess energy over the best structure of this formula in the dataset = 0 meV/atom
Uncorrected energy = -260.7 eV/f.u.



Entry 4:
BaTi2Bi2O: relaxed, PBE.

Unit cell a=4.115 b=4.115 c=8.707 alpha=90.00 beta=90.00 gamma=90.00
Atoms (fractional coordinates):
Ba1 0.000 0.000 0.000
Ti1 0.000 0.500 0.500
Ti2 0.500 0.000 0.500
Bi1 0.500 0.500 0.252
Bi2 0.500 0.500 0.748
O1 0.000 0.000 0.500

Size of the total moment = 0.00 μB/f.u.
DFT formation energy = -1.324 eV per atom
Density = 7.51 g cm⁻³
Uncorrected energy = -37.7 eV/f.u.



Entry 5:
Mg3Si2: relaxed, PBE.

Unit cell a=5.210 b=5.210 c=4.391 alpha=112.48 beta=112.48 gamma=96.62
Atoms (fractional coordinates):
Mg1 0.000 0.000 0.000
Mg2 0.296 0.704 0.500
Mg3 0.704 0.296 0.500
Si1 0.292 0.292 0.773
Si2 0.708 0.708 0.227

Size of the total moment = 0.00 μB/f.u.
DFT formation energy = 0.012 eV per atom
Density = 2.21 g cm⁻³
Uncorrected energy = -15.7 eV/f.u.



Entry 6:
MgGe5: relaxed, PBE.

Unit cell a=5.264 b=5.264 c=4.857 alpha=90.00 beta=90.00 gamma=120.00
Atoms (fractional coordinates):
Mg1 0.000 0.000 0.000
Ge1 0.000 0.670 0.500
Ge2 0.330 0.330 0.500
Ge3 0.333 0.667 0.000
Ge4 0.667 0.333 0.000
Ge5 0.670 0.000 0.500

Size of the total moment = 0.01 μB/f.u.
DFT formation energy = 0.196 eV per atom
Density = 5.52 g cm⁻³
Excess energy over the best structure of this formula in the dataset = 0 meV/atom
Uncorrected energy = -23.5 eV/f.u.



Question: What is the formula in the third record?
Answer: Na6MgSi2Sn3P4O24